## YFe6Co5W (GGA-PBE)

Data for YFe6Co5W after structural relaxation.

Cell and atoms, written as extended XYZ:
```
13
Lattice="-2.3529 4.2155 4.2234 2.3529 -4.2155 4.2234 2.3529 4.2155 -4.2234" Properties=species:S:1:pos:R:3 pbc="T T T"
Y 0.0000 0.0000 0.0000
Fe 1.1706 2.0975 -2.0993
Fe 1.1824 -2.1180 2.1240
Fe 2.3529 0.0000 1.9448
Fe 1.1706 6.3335 -2.0993
Fe 1.1824 2.1180 2.1240
Fe 0.0000 4.2155 2.3109
Co 2.3529 1.8814 0.0411
Co 0.0000 3.0353 0.0302
Co 0.0000 5.3956 0.0302
Co 0.0000 0.0000 5.5210
Co 0.0000 2.3341 4.2645
W 0.0000 0.0000 3.1634
```

space-group type: No. 44

---

## U3Cu4Si4 (GGA-PBE)

Data for U3Cu4Si4 after structural relaxation.

Cell and atoms, written as extended XYZ:
```
11
Lattice="-1.9708 1.9990 11.8334 1.9708 -1.9990 11.8334 1.9708 1.9990 -11.8334" Properties=species:S:1:pos:R:3 pbc="T T T"
U 0.0000 0.0000 0.0000
U 1.9708 0.0000 8.3574
U 0.0000 1.9990 3.4760
Cu 1.9708 0.0000 2.2823
Cu 0.0000 0.0000 5.9194
Cu 0.0000 0.0000 17.7474
Cu 0.0000 1.9990 9.5510
Si 1.9708 0.0000 4.5680
Si 0.0000 0.0000 10.6673
Si 0.0000 0.0000 12.9994
Si 0.0000 1.9990 7.2654
```

space-group type: No. 71

---

## Na7Y2Hf2Si3P3O24 (GGA-PBE)

Data for Na7Y2Hf2Si3P3O24 after structural relaxation.

Cell and atoms, written as extended XYZ:
```
123
Lattice="9.2989 0.0000 0.0000 4.6464 8.0570 0.0000 0.0574 0.0061 22.8096" Properties=species:S:1:pos:R:3 pbc="T T T"
Na 0.0000 0.0000 0.0000
Na 1.6787 2.8099 17.1453
Na 3.3549 5.6453 11.3980
Na 0.4151 0.1074 15.1992
Na 3.3315 5.1748 3.9908
Na 4.5707 3.1501 15.0797
Na 2.8589 0.0717 3.7430
Na 3.3182 0.4199 19.1607
Na 4.6321 2.6434 7.7302
Na 6.3590 5.5692 13.2420
Na 6.3542 5.3835 1.8907
Na 7.6048 2.8851 11.4163
Na 9.2194 5.6484 0.1632
Na 6.3038 0.3090 21.0288
Na 6.3140 0.1446 9.5554
Na 8.0709 3.2043 3.8576
Na 9.3389 5.1744 15.1452
Na 9.6603 5.4224 7.6315
Na 8.1036 2.4992 19.2182
Na 12.2361 5.5353 19.0602
Na 10.8223 2.7974 5.8302
Y 1.6358 2.8203 2.3028
Y 1.6857 2.8273 13.5972
Y 1.7080 2.7717 20.6800
Y 6.3012 5.5258 16.7025
Y 6.3285 5.4954 5.4228
Y 6.3562 0.0965 17.5693
Hf 1.6737 2.8143 9.1899
Hf 6.3157 5.4994 21.3854
Hf 6.3037 5.4954 9.8857
Hf 6.2340 0.1412 1.5097
Hf 6.2872 0.0946 12.8559
Hf 6.3516 0.0810 6.2604
Si 3.4914 5.4648 7.6375
Si 4.9574 7.9376 19.0485
Si 4.5128 2.8260 11.4212
Si 3.0670 0.3064 0.0415
Si 7.7291 3.0559 7.6373
Si 9.5908 5.8150 3.8794
Si 8.0605 2.8114 0.0585
Si 9.5341 5.2550 11.4400
Si 12.3477 5.7676 15.2110
P 3.0643 5.2981 0.0761
P 0.2730 0.3698 11.4751
P 4.9401 3.1390 19.0251
P 7.6873 7.9348 7.5996
P 3.6100 0.1291 15.2365
P 4.9516 2.4267 3.9161
P 9.0746 5.4916 19.0646
P 7.7064 2.4771 15.1981
P 8.9671 0.1222 3.8402
O 2.5402 4.1180 7.8304
O 0.9928 1.3697 19.0851
O 2.8296 4.4546 1.3312
O 0.8144 0.8625 12.8298
O 5.1790 6.9005 3.8932
O 4.5182 5.6443 8.9032
O 5.4996 7.2541 17.6642
O 4.3263 5.1856 6.2687
O 5.4181 6.9743 20.3243
O 4.6904 5.6657 15.1390
O 5.4683 7.0103 11.2034
O 4.6632 5.4987 22.7011
O 3.4143 3.0629 19.1303
O 2.4763 1.2953 7.8653
O 2.3448 0.9742 1.3459
O 2.6365 1.3285 15.1069
O 3.6712 3.1206 12.7838
O 3.4732 2.6460 10.1591
O 3.4217 2.5345 3.8419
O 2.9015 1.1706 21.4947
O 7.1419 7.4198 6.2662
O 5.4410 4.1902 11.2328
O 5.2582 3.8441 17.6926
O 7.0837 6.8647 22.7153
O 5.5510 3.9792 20.2028
O 7.3471 6.9195 8.7304
O 5.6107 3.8349 3.8870
O 7.4701 6.8418 15.1709
O 4.3560 0.2988 16.5594
O 5.3227 1.6335 5.1988
O 4.6312 0.0987 14.0534
O 5.5834 1.7304 19.0995
O 5.5205 1.6426 2.6891
O 9.2508 8.0487 7.5651
O 5.5416 1.5470 11.5344
O 7.9510 5.7053 3.8207
O 4.6870 0.0422 0.2082
O 6.9978 3.9023 8.8576
O 7.1781 4.1495 22.6719
O 7.9331 5.4271 11.1550
O 7.0734 3.8955 15.1654
O 8.0828 5.5322 20.2849
O 8.2774 5.3108 17.7636
O 7.6171 3.9550 6.2760
O 9.8518 6.8388 19.1046
O 6.9122 1.6291 7.5443
O 7.1468 1.6989 13.9681
O 10.0401 6.6885 2.5558
O 10.1325 6.6480 5.2027
O 7.3626 1.7344 16.4972
O 7.1900 1.4349 0.2525
O 10.3382 6.6925 11.5381
O 9.6433 4.3686 12.8064
O 9.0103 3.1591 1.3503
O 10.0465 4.3102 19.1799
O 9.0362 2.5210 21.5514
O 9.3373 2.8926 7.9178
O 10.2867 4.4082 10.2321
O 9.2562 2.5730 15.1567
O 10.3127 4.3415 3.9130
O 8.0101 0.2878 11.5191
O 11.7731 6.7666 7.5644
O 8.0063 0.2229 5.0665
O 11.7617 6.7322 0.2318
O 12.6166 8.0472 19.1341
O 11.8984 6.7385 13.9368
O 11.7962 6.4267 16.6019
O 8.0910 0.0406 2.5553
O 11.7511 4.6983 21.6470
O 9.8518 1.3877 3.8461
O 9.9354 1.3964 10.3651
O 11.6597 4.2742 15.1629
```

space-group type: No. 1

---

## Hf8MgN8O4 (GGA-PBE)

Data for Hf8MgN8O4 after structural relaxation.

Cell and atoms, written as extended XYZ:
```
21
Lattice="5.6939 0.0000 0.0000 2.8400 4.9841 0.0000 2.8141 -1.5514 10.3619" Properties=species:S:1:pos:R:3 pbc="T T T"
Hf 0.0000 0.0000 0.0000
Hf 3.7085 3.4188 4.3658
Hf 5.6867 3.3075 7.3619
Hf 5.7804 0.1617 10.3422
Hf 3.7194 0.0794 3.0617
Hf 5.8240 0.1440 7.3910
Hf 8.6703 1.6510 10.3577
Hf 8.5922 1.6919 7.4713
Mg 6.5514 1.7500 4.2751
N 4.8129 1.8849 8.8680
N 5.6108 3.4831 3.8023
N 6.6981 1.7520 6.4366
N 3.8212 0.0238 0.9364
N 5.5822 0.0531 3.7567
N 7.5680 0.0849 8.8775
N 9.4718 3.4144 6.4691
N 6.7489 1.6108 0.7612
O 2.7951 1.7381 3.7418
O 3.8361 0.0762 6.7023
O 3.8693 3.3522 0.7850
O 7.5659 3.3531 8.7880
```

space-group type: No. 1
relative energy among the computed polymorphs: 39 meV per atom

---

Number 1: size of the total moment 1.44 μB/atom, raw total energy -106.2 eV/cell, energy relative to the elements -0.029 eV/atom. Number 2: size of the total moment 0.65 μB/atom, raw total energy -74.5 eV/cell, energy relative to the elements -0.205 eV/atom. Number 3: size of the total moment 0.00 μB/atom, raw total energy -914.9 eV/cell, energy relative to the elements -3.124 eV/atom. Number 4: size of the total moment 0.00 μB/atom, raw total energy -208.4 eV/cell, energy relative to the elements -2.067 eV/atom.